Record 1
Material: Sr2CuCO5
Method: DFT, PBE
State: optimized geometry Values from VASP.

```
&SYSTEM
  ibrav = 0, nat = 36, ntyp = 4
/
ATOMIC_SPECIES
Sr 87.62 Sr.upf
Cu 63.55 Cu.upf
C 12.01 C.upf
O 16.00 O.upf
CELL_PARAMETERS angstrom
4.191 -7.631 3.695
0.580 1.241 9.359
-7.354 0.771 -5.897
ATOMIC_POSITIONS crystal
Sr 0.128 0.128 0.000
Sr 0.872 0.872 0.000
Sr 0.350 0.350 0.000
Sr 0.650 0.650 0.000
Sr 0.134 0.634 0.500
Sr 0.366 0.866 0.500
Sr 0.866 0.366 0.500
Sr 0.634 0.134 0.500
Cu 0.500 0.000 0.000
Cu 0.500 0.500 0.500
Cu 0.000 0.000 0.500
Cu 0.000 0.500 0.000
C 0.737 0.250 0.987
C 0.263 0.750 0.013
C 0.750 0.737 0.486
C 0.250 0.263 0.514
O 0.084 0.267 0.351
O 0.267 0.916 0.184
O 0.733 0.084 0.816
O 0.916 0.733 0.649
O 0.404 0.334 0.595
O 0.191 0.596 0.930
O 0.666 0.261 0.070
O 0.739 0.809 0.405
O 0.334 0.739 0.930
O 0.809 0.404 0.070
O 0.261 0.191 0.595
O 0.596 0.666 0.405
O 0.988 0.238 0.752
O 0.763 0.012 0.250
O 0.762 0.514 0.750
O 0.486 0.237 0.248
O 0.514 0.763 0.752
O 0.238 0.486 0.250
O 0.237 0.988 0.750
O 0.012 0.762 0.248
```

The energy of formation from the pure elements is -2.38 eV/atom. As for the relative energy among the computed polymorphs: 0.004 eV per atom. As for the space-group type: I4/m. For the total magnetization, the calculation gives 0.000 μB/atom.

***

Record 2
Material: UCo5Sn
Method: DFT, PBE
State: optimized geometry Values from VASP.

```
&SYSTEM
  ibrav = 0, nat = 56, ntyp = 3
/
ATOMIC_SPECIES
U 238.03 U.upf
Co 58.93 Co.upf
Sn 118.71 Sn.upf
CELL_PARAMETERS angstrom
-4.344 -1.627 -1.227
4.218 -8.776 -3.300
-1.749 -6.320 14.576
ATOMIC_POSITIONS crystal
U 0.000 0.611 0.244
U 0.000 0.000 0.500
U 0.500 0.111 0.256
U 0.000 0.389 0.756
U 0.500 0.889 0.744
U 0.500 0.500 0.500
U 0.000 0.000 0.000
U 0.500 0.500 0.000
Co 0.747 0.633 0.840
Co 0.500 0.575 0.171
Co 0.753 0.133 0.660
Co 0.251 0.743 0.091
Co 0.500 0.346 0.653
Co 0.000 0.700 0.719
Co 0.000 0.846 0.847
Co 0.247 0.133 0.660
Co 0.500 0.800 0.219
Co 0.000 0.543 0.598
Co 0.500 0.189 0.535
Co 0.249 0.757 0.591
Co 0.751 0.757 0.591
Co 0.500 0.425 0.829
Co 0.000 0.925 0.671
Co 0.253 0.367 0.160
Co 0.500 0.811 0.465
Co 0.749 0.257 0.909
Co 0.500 0.043 0.902
Co 0.000 0.075 0.329
Co 0.000 0.464 0.918
Co 0.500 0.957 0.098
Co 0.000 0.311 0.035
Co 0.751 0.243 0.409
Co 0.500 0.654 0.347
Co 0.000 0.300 0.281
Co 0.000 0.154 0.153
Co 0.000 0.457 0.402
Co 0.500 0.200 0.781
Co 0.000 0.536 0.082
Co 0.249 0.243 0.409
Co 0.253 0.633 0.840
Co 0.247 0.867 0.340
Co 0.251 0.257 0.909
Co 0.749 0.743 0.091
Co 0.500 0.964 0.582
Co 0.753 0.867 0.340
Co 0.000 0.689 0.965
Co 0.500 0.036 0.418
Co 0.747 0.367 0.160
Sn 0.500 0.587 0.692
Sn 0.000 0.697 0.445
Sn 0.500 0.803 0.945
Sn 0.500 0.197 0.055
Sn 0.500 0.413 0.308
Sn 0.000 0.303 0.555
Sn 0.000 0.087 0.808
Sn 0.000 0.913 0.192
```

The energy of formation from the pure elements is -0.09 eV/atom. As for the space-group type: Pnnm. For the total magnetization, the calculation gives 0.000 μB/atom.